Below is an optimized crystal structure of PrTiGe, with properties calculated at the meta-GGA r2SCAN level.

The uncorrected energy is -1.430 Ry per atom. The formation energy from the elements is -2.16 eV per formula unit.

The space group is P4/nmm (No. 129, origin choice 2) and the conventional cell measures 4.134, 4.134 and 8.103 Å, with angles of 90.00, 90.00 and 90.00 degrees. The asymmetric unit holds Pr at (0.250, 0.250, 0.151), Ti at (0.250, 0.750, 0.500) and Ge at (0.250, 0.250, 0.722).